Material: Na6Sc4Al4Si3S9O48
Method: DFT, PBE
State: optimized geometry

Summary:
Energy relative to the elements (meV per atom): -2603

Cell lengths 8.6863, 15.0839, 22.4263 Å; angles 90.25, 90.23, 90.04 degrees
Last column: nearest neighbours and their distance in Å.
Atoms (fractional coordinates):
1 Na 0.0000 0.0000 0.0000  6 O 2.42-2.69
2 Na 0.0011 0.0015 0.5049  6 O 2.40-2.66
3 Na 0.1307 0.4891 0.2594  5 O 2.31-2.50
4 Na 0.1357 0.8324 0.9146  6 O 2.36-2.64
5 Na 0.3525 0.3312 0.4210  5 O 2.35-2.60
6 Na 0.3575 0.9906 0.7471  6 O 2.33-2.58
7 Na 0.4825 0.8276 0.6697  3 O 2.37-2.59
8 Na 0.4862 0.5001 0.5024  6 O 2.44-2.67
9 Na 0.4926 0.1605 0.8338  6 O 2.44-2.70
10 Na 0.4988 0.5002 0.9996  6 O 2.41-2.68
11 Na 0.4996 0.1516 0.3412  6 O 2.36-2.57
12 Na 0.5072 0.8287 0.1755  2 O 2.31-2.57
13 Na 0.6399 0.3316 0.9153  7 O 2.38-2.65
14 Na 0.8433 0.8327 0.4208  6 O 2.37-2.64
15 Na 0.9795 0.3249 0.6737  4 O 2.37-2.64
16 Na 0.9882 0.6529 0.8376  6 O 2.47-2.64
17 Na 0.9924 0.6628 0.3391  6 O 2.49-2.66
18 Na 0.9993 0.3182 0.1751  6 O 2.45-2.73
19 Sc 0.0022 0.3287 0.5206  5 O 1.91-2.13
20 Sc 0.0078 0.9876 0.6501  3 O 1.93-2.13
21 Sc 0.4833 0.8302 0.0199  3 O 1.90-2.10
22 Sc 0.4850 0.4866 0.1532  3 O 1.90-2.08
23 Sc 0.4888 0.1631 0.1968  5 O 1.91-2.14
24 Sc 0.4948 0.8431 0.5251  4 O 1.94-2.13
25 Sc 0.5026 0.4915 0.6519  2 O 1.86-2.08
26 Sc 0.5050 0.8348 0.3202  2 O 1.90-1.96
27 Sc 0.9807 0.3345 0.8180  3 O 1.92-2.12
28 Sc 0.9828 0.9916 0.1528  2 O 1.86-2.06
29 Sc 0.9855 0.3331 0.0196  3 O 1.90-2.13
30 Sc 0.9993 0.6640 0.6956  3 O 1.92-2.08
31 Al 0.0020 0.3306 0.3225  4 O 1.80-1.98
32 Al 0.0048 0.9919 0.8530  4 O 1.77-1.94
33 Al 0.4852 0.4916 0.3574  3 O 1.78-1.98
34 Al 0.4860 0.1528 0.9828  3 O 1.76-1.90
35 Al 0.4881 0.8341 0.8195  3 O 1.79-1.99
36 Al 0.4967 0.1470 0.4889  3 O 1.71-1.87
37 Al 0.4987 0.1647 0.6868  4 O 1.78-1.91
38 Al 0.5074 0.4868 0.8512  4 O 1.78-1.94
39 Al 0.9829 0.9874 0.3542  4 O 1.79-1.98
40 Al 0.9871 0.6571 0.9851  4 O 1.75-1.94
41 Al 0.9877 0.6674 0.1917  3 O 1.76-1.91
42 Al 0.9989 0.6532 0.4839  4 O 1.78-1.98
43 Si 0.1412 0.4785 0.4185  4 O 1.62-1.66
44 Si 0.1455 0.8465 0.7600  4 O 1.63-1.65
45 Si 0.3417 0.3472 0.2600  4 O 1.62-1.66
46 Si 0.3438 0.9785 0.9179  4 O 1.62-1.67
47 Si 0.3520 0.0224 0.5912  4 O 1.61-1.65
48 Si 0.6316 0.3407 0.7539  4 O 1.64-1.65
49 Si 0.6491 0.9841 0.4208  4 O 1.62-1.65
50 Si 0.8397 0.4838 0.9208  4 O 1.62-1.66
51 Si 0.8515 0.8432 0.2549  4 O 1.63-1.65
52 S 0.1319 0.5232 0.0888  4 O 1.48-1.49
53 S 0.1326 0.7977 0.0862  4 O 1.48-1.50
54 S 0.1379 0.1390 0.7559  4 O 1.46-1.50
55 S 0.1379 0.1781 0.4177  4 O 1.47-1.50
56 S 0.1935 0.8266 0.4209  4 O 1.47-1.51
57 S 0.2065 0.1608 0.0847  4 O 1.48
58 S 0.2127 0.4928 0.7569  4 O 1.47-1.48
59 S 0.2750 0.9924 0.2566  4 O 1.47-1.49
60 S 0.2802 0.6592 0.5845  4 O 1.47-1.49
61 S 0.2927 0.3265 0.9220  4 O 1.46-1.51
62 S 0.3451 0.6386 0.2533  4 O 1.45-1.51
63 S 0.3473 0.6779 0.9196  4 O 1.47-1.51
64 S 0.3540 0.3004 0.5851  4 O 1.47-1.49
65 S 0.6308 0.6420 0.7589  4 O 1.48
66 S 0.6358 0.0187 0.0851  4 O 1.47-1.49
67 S 0.6358 0.3011 0.0844  4 O 1.47-1.49
68 S 0.6408 0.6739 0.4217  4 O 1.46-1.50
69 S 0.7044 0.3296 0.4176  4 O 1.47-1.50
70 S 0.7088 0.9916 0.7581  4 O 1.46-1.51
71 S 0.7131 0.6604 0.0881  4 O 1.48-1.49
72 S 0.7754 0.1622 0.5876  4 O 1.47-1.49
73 S 0.7827 0.4928 0.2558  4 O 1.47-1.51
74 S 0.7838 0.8278 0.9197  4 O 1.48-1.51
75 S 0.8431 0.1744 0.9219  4 O 1.47-1.50
76 S 0.8508 0.5183 0.5852  4 O 1.47-1.49
77 S 0.8507 0.7987 0.5836  4 O 1.47-1.49
78 S 0.8562 0.1419 0.2587  4 O 1.47-1.49
79 O 0.0618 0.4305 0.3602  1 Si 1.64, 1 Al 1.80
80 O 0.0620 0.5746 0.4295  1 Si 1.62, 1 Al 1.78
81 O 0.0632 0.4332 0.0845  1 S 1.48
82 O 0.0641 0.2131 0.4724  1 S 1.48
83 O 0.0651 0.7491 0.7540  1 Si 1.63
84 O 0.0646 0.8873 0.0893  1 S 1.48
85 O 0.0669 0.8931 0.8179  1 Si 1.63, 1 Al 1.77
86 O 0.0677 0.1016 0.7016  1 S 1.47
87 O 0.0717 0.5643 0.1445  1 S 1.49
88 O 0.0719 0.7558 0.0302  1 S 1.50
89 O 0.0774 0.2288 0.7640  1 S 1.46
90 O 0.0799 0.0882 0.4068  1 S 1.47
91 O 0.0816 0.7511 0.4297  1 S 1.51
92 O 0.0964 0.5762 0.0354  1 S 1.48
93 O 0.0967 0.7444 0.1394  1 S 1.48
94 O 0.0998 0.9088 0.4139  1 S 1.49
95 O 0.1050 0.0821 0.8089  1 S 1.50
96 O 0.1064 0.2393 0.3668  1 S 1.50
97 O 0.1078 0.2406 0.0802  1 S 1.48
98 O 0.1077 0.5700 0.7544  1 S 1.48
99 O 0.1102 0.0799 0.0871  1 S 1.48
100 O 0.1209 0.4107 0.7606  1 S 1.48
101 O 0.1239 0.4091 0.4747  1 Si 1.65
102 O 0.1240 0.9089 0.7015  1 Si 1.63
103 O 0.1538 0.3370 0.2658  1 Si 1.64, 1 Al 1.84
104 O 0.1552 0.9886 0.9108  1 Si 1.65, 1 Al 1.84
105 O 0.1643 0.0111 0.5915  1 Si 1.64
106 O 0.1726 0.6393 0.2449  1 S 1.51
107 O 0.1750 0.6764 0.9290  1 S 1.51
108 O 0.1759 0.0050 0.3092  1 S 1.47
109 O 0.1780 0.6501 0.5315  1 S 1.49
110 O 0.1829 0.3065 0.5832  1 S 1.49
111 O 0.1860 0.9867 0.2005  1 S 1.48
112 O 0.1898 0.6692 0.6399  1 S 1.48
113 O 0.1960 0.3389 0.9757  1 S 1.48
114 O 0.1999 0.3065 0.8692  1 S 1.46
115 O 0.2850 0.8065 0.3677  1 S 1.47
116 O 0.2894 0.8383 0.4744  1 S 1.47
117 O 0.2975 0.1705 0.1401  1 S 1.48
118 O 0.3011 0.4871 0.7012  1 S 1.47
119 O 0.3025 0.5156 0.0909  1 S 1.49
120 O 0.3030 0.8039 0.0838  1 S 1.48
121 O 0.3084 0.1422 0.7516  1 S 1.49
122 O 0.3080 0.1526 0.0318  1 S 1.48
123 O 0.3090 0.1776 0.4248  1 S 1.49
124 O 0.3131 0.5049 0.8099  1 S 1.48
125 O 0.3304 0.4874 0.4115  1 Si 1.66, 1 Al 1.82
126 O 0.3339 0.8368 0.7657  1 Si 1.65, 1 Al 1.80
127 O 0.3592 0.9102 0.9757  1 Si 1.67
128 O 0.3611 0.4093 0.1997  1 Si 1.66
129 O 0.3663 0.9103 0.2599  1 S 1.47
130 O 0.3732 0.5817 0.3063  1 S 1.49
131 O 0.3744 0.5773 0.5876  1 S 1.48
132 O 0.3736 0.7387 0.8688  1 S 1.48
133 O 0.3803 0.0700 0.2536  1 S 1.49
134 O 0.3802 0.7373 0.5794  1 S 1.47
135 O 0.3860 0.0794 0.5321  1 Si 1.61, 1 Al 1.71
136 O 0.3871 0.4083 0.9157  1 S 1.49
137 O 0.3911 0.2488 0.6388  1 S 1.47
138 O 0.4018 0.7285 0.2609  1 S 1.45
139 O 0.4033 0.2509 0.9317  1 S 1.51
140 O 0.4045 0.5877 0.9095  1 S 1.47
141 O 0.4153 0.2610 0.5289  1 S 1.49
142 O 0.4173 0.6003 0.1993  1 S 1.48
143 O 0.4189 0.3915 0.5892  1 S 1.49
144 O 0.4202 0.0680 0.6527  1 Si 1.65, 1 Al 1.78
145 O 0.4222 0.2507 0.2530  1 Si 1.62
146 O 0.4220 0.3980 0.3157  1 Si 1.62, 1 Al 1.78
147 O 0.4222 0.7129 0.9747  1 S 1.49
148 O 0.4234 0.0746 0.9293  1 Si 1.62, 1 Al 1.76
149 O 0.4256 0.9284 0.8619  1 Si 1.63, 1 Al 1.79
150 O 0.4304 0.9229 0.5881  1 Si 1.65
151 O 0.5512 0.2436 0.7437  1 Si 1.64, 1 Al 1.80
152 O 0.5613 0.3861 0.8150  1 Si 1.65, 1 Al 1.78
153 O 0.5617 0.6077 0.7030  1 S 1.48
154 O 0.5645 0.7102 0.4745  1 S 1.46
155 O 0.5655 0.3911 0.0873  1 S 1.49
156 O 0.5655 0.9381 0.3630  1 Si 1.63
157 O 0.5692 0.7321 0.7693  1 S 1.48
158 O 0.5695 0.9283 0.0799  1 S 1.48
159 O 0.5712 0.0806 0.4308  1 Si 1.62, 1 Al 1.77
160 O 0.5753 0.2570 0.0299  1 S 1.48
161 O 0.5773 0.0577 0.1406  1 S 1.47
162 O 0.5810 0.5834 0.4093  1 S 1.49
163 O 0.5956 0.2544 0.4238  1 S 1.48
164 O 0.5973 0.0730 0.0323  1 S 1.48
165 O 0.5974 0.5832 0.8102  1 S 1.48
166 O 0.6019 0.2511 0.1389  1 S 1.47
167 O 0.6033 0.0690 0.7545  1 S 1.49
168 O 0.6049 0.4063 0.6970  1 Si 1.64
169 O 0.6105 0.4123 0.4108  1 S 1.50
170 O 0.6120 0.9095 0.7655  1 S 1.51
171 O 0.6160 0.7406 0.0843  1 S 1.48
172 O 0.6165 0.5796 0.0913  1 S 1.48
173 O 0.6207 0.7316 0.3689  1 S 1.48
174 O 0.6313 0.9135 0.4760  1 Si 1.64
175 O 0.6523 0.4889 0.9105  1 Si 1.65, 1 Al 1.83
176 O 0.6654 0.8302 0.2587  1 Si 1.63
177 O 0.6725 0.1713 0.9320  1 S 1.50
178 O 0.6801 0.1562 0.5327  1 S 1.48
179 O 0.6797 0.5123 0.5866  1 S 1.49
180 O 0.6813 0.8023 0.5806  1 S 1.47
181 O 0.6818 0.1754 0.6421  1 S 1.48
182 O 0.6851 0.5111 0.3081  1 S 1.47
183 O 0.6860 0.1466 0.2530  1 S 1.49
184 O 0.6857 0.8096 0.8671  1 S 1.48
185 O 0.6907 0.4806 0.2007  1 S 1.48
186 O 0.6908 0.8386 0.9742  1 S 1.48
187 O 0.7962 0.3414 0.4724  1 S 1.47
188 O 0.7957 0.9799 0.7030  1 S 1.46
189 O 0.8008 0.6462 0.7534  1 S 1.48
190 O 0.8049 0.3133 0.3653  1 S 1.48
191 O 0.8063 0.3093 0.0822  1 S 1.49
192 O 0.8068 0.0125 0.0865  1 S 1.49
193 O 0.8096 0.6522 0.0338  1 S 1.48
194 O 0.8098 0.6686 0.1427  1 S 1.49
195 O 0.8106 0.0056 0.8109  1 S 1.49
196 O 0.8124 0.6696 0.4307  1 S 1.50
197 O 0.8185 0.3292 0.7587  1 Si 1.64
198 O 0.8365 0.9893 0.4109  1 Si 1.65, 1 Al 1.80
199 O 0.8569 0.4139 0.9776  1 Si 1.66
200 O 0.8631 0.2327 0.8699  1 S 1.47
201 O 0.8665 0.0803 0.5918  1 S 1.47
202 O 0.8769 0.2412 0.5830  1 S 1.49
203 O 0.8776 0.4112 0.2625  1 S 1.49
204 O 0.8788 0.9058 0.1960  1 Si 1.64
205 O 0.8788 0.9091 0.9135  1 S 1.48
206 O 0.8884 0.5723 0.5324  1 S 1.48
207 O 0.8877 0.7490 0.6383  1 S 1.47
208 O 0.8909 0.0835 0.3095  1 S 1.47
209 O 0.8918 0.5694 0.2478  1 S 1.51
210 O 0.8935 0.7514 0.9277  1 S 1.51
211 O 0.9040 0.0846 0.9117  1 S 1.47
212 O 0.9100 0.5569 0.6409  1 S 1.47
213 O 0.9146 0.7545 0.5293  1 S 1.49
214 O 0.9168 0.4280 0.5799  1 S 1.48
215 O 0.9171 0.8887 0.5864  1 S 1.48
216 O 0.9175 0.2326 0.2681  1 S 1.48
217 O 0.9205 0.2125 0.9753  1 S 1.48
218 O 0.9206 0.5790 0.9330  1 Si 1.62, 1 Al 1.75
219 O 0.9221 0.4363 0.8646  1 Si 1.62
220 O 0.9238 0.1080 0.2023  1 S 1.49
221 O 0.9236 0.8901 0.3144  1 Si 1.63, 1 Al 1.79
222 O 0.9340 0.7458 0.2459  1 Si 1.65, 1 Al 1.76